1 | Compound: CaLa3Mn4O12
Source: the Materials Project database
Functional: GGA+U
Structure: relaxed

The structure in extended XYZ format:
```
40
Lattice="5.577 3.220 4.468 -5.577 3.220 4.468 0.000 -6.439 4.468" Properties=species:S:1:pos:R:3 pbc="T T T"
Ca 0.000 0.000 3.351
Ca 0.000 0.000 10.052
La -0.005 -3.220 5.585
La -2.786 1.614 5.585
La -2.791 -1.606 7.818
La 2.791 1.606 5.585
La 2.786 -1.614 7.818
La 0.005 3.220 7.818
Mn 0.000 0.000 0.000
Mn -5.577 0.000 6.701
Mn -2.788 1.610 2.234
Mn -2.788 -1.610 4.468
Mn 2.788 1.610 2.234
Mn -2.788 1.610 8.935
Mn 0.000 3.220 4.468
Mn 0.000 0.000 6.701
O -1.230 -5.312 5.563
O -2.416 0.000 3.351
O -3.994 -0.478 5.585
O -5.215 -1.591 7.840
O 1.208 -2.092 3.351
O -1.230 -1.128 5.607
O -1.583 -3.698 7.818
O -3.985 3.721 5.563
O -1.592 0.501 7.796
O 2.411 -3.220 5.585
O 1.208 2.092 3.351
O -0.362 1.629 5.607
O 0.362 -1.629 7.796
O -1.208 -2.092 10.052
O -2.411 3.220 7.818
O 1.592 -0.501 5.607
O 3.985 -3.721 7.840
O 1.583 3.698 5.585
O 1.230 1.128 7.796
O -1.208 2.092 10.052
O 5.215 1.591 5.563
O 3.994 0.478 7.818
O 2.416 0.000 10.052
O 1.230 5.312 7.840
```

Results
crystal system = trigonal

---

2 | Compound: CaLa3Mn4O12
Source: the Materials Project database
Functional: GGA+U
Structure: relaxed

The structure in extended XYZ format:
```
20
Lattice="5.544 0.000 0.000 0.000 7.852 0.000 -0.053 0.000 5.546" Properties=species:S:1:pos:R:3 pbc="T T T"
Ca 0.000 0.000 0.000
La 0.025 3.926 5.235
La 2.763 3.926 2.452
La 2.824 0.000 2.762
Mn 0.018 1.937 2.606
Mn 0.018 5.915 2.606
Mn 2.764 1.934 5.381
Mn 2.764 5.918 5.381
O 0.423 0.000 2.510
O 1.283 2.289 1.064
O 1.283 5.563 1.064
O 1.556 2.273 3.820
O 1.556 5.579 3.820
O 2.323 0.000 5.308
O 3.157 3.926 5.431
O 4.011 1.683 1.405
O 4.011 6.168 1.405
O 4.317 1.652 4.167
O 4.317 6.200 4.167
O 5.178 3.926 2.667
```

Results
crystal system = monoclinic

---

Which one is the least stable? From the structures above, 1.